(1)
A geometry-optimized YTiW2O8 structure, computed with GGA+U.

The structure in CIF format:
```
data_YTiW2O8
_cell_length_a 5.066
_cell_length_b 5.561
_cell_length_c 6.127
_cell_angle_alpha 104.84
_cell_angle_beta 90.11
_cell_angle_gamma 107.05
_space_group_name_H-M_alt 'P 1'
_space_group_IT_number 1
loop_
_space_group_symop_operation_xyz
'x,y,z'
loop_
_atom_site_label
_atom_site_type_symbol
_atom_site_fract_x
_atom_site_fract_y
_atom_site_fract_z
_atom_site_occupancy
Y1 Y 0.000 0.000 0.000 1
Ti1 Ti 0.482 0.983 0.503 1
W1 W 0.216 0.468 0.625 1
W2 W 0.720 0.506 0.315 1
O1 O 0.131 0.694 0.418 1
O2 O 0.157 0.685 0.904 1
O3 O 0.278 0.163 0.724 1
O4 O 0.319 0.245 0.306 1
O5 O 0.622 0.761 0.637 1
O6 O 0.673 0.816 0.231 1
O7 O 0.767 0.296 0.051 1
O8 O 0.787 0.293 0.530 1
```

Results
Its magnetic moment is 3.0 Bohr magnetons per cell. As for the raw total energy: -8.130 eV per atom. The value obtained for the calculated formation energy is -2672 meV per atom. The calculation puts the energy above the most stable polymorph in this dataset at 1.585 eV/f.u.

(2)
A geometry-optimized TiZn2WO6 structure, computed with GGA+U.

The structure in CIF format:
```
data_TiZn2WO6
_cell_length_a 5.2433
_cell_length_b 5.2433
_cell_length_c 14.0895
_cell_angle_alpha 90.00
_cell_angle_beta 90.00
_cell_angle_gamma 120.00
_space_group_name_H-M_alt 'R 3'
_space_group_IT_number 146
_space_group_name_Hall 'R 3'
loop_
_atom_site_label
_atom_site_type_symbol
_atom_site_fract_x
_atom_site_fract_y
_atom_site_fract_z
_atom_site_occupancy
Ti1 Ti 0.0000 0.0000 0.0000 1
Zn1 Zn 0.0000 0.0000 0.2695 1
Zn2 Zn 0.0000 0.0000 0.7814 1
W1 W 0.0000 0.0000 0.4962 1
O1 O 0.0043 0.3729 0.7399 1
O2 O 0.0429 0.6887 0.5731 1
```

Results
Its magnetic moment is 6.0 Bohr magnetons per cell. As for the raw total energy: -6.747 eV per atom. The value obtained for the calculated formation energy is -2296 meV per atom. The calculation puts the energy above the most stable polymorph in this dataset at 0.000 eV/f.u.

(3)
A geometry-optimized TiZn2WO6 structure, computed with GGA+U.

The structure in CIF format:
```
data_TiZn2WO6
_cell_length_a 5.280
_cell_length_b 5.309
_cell_length_c 9.282
_cell_angle_alpha 90.00
_cell_angle_beta 123.21
_cell_angle_gamma 90.00
_space_group_name_H-M_alt 'P 1 21/c 1'
_space_group_IT_number 14
loop_
_space_group_symop_operation_xyz
'x,y,z'
'-x,-y,-z'
'-x,y+1/2,-z+1/2'
'x,-y+1/2,z+1/2'
loop_
_atom_site_label
_atom_site_type_symbol
_atom_site_fract_x
_atom_site_fract_y
_atom_site_fract_z
_atom_site_occupancy
Ti1 Ti 0.000 0.000 0.000 1
Zn1 Zn 0.253 0.031 0.747 1
W1 W 0.500 0.000 0.500 1
O1 O 0.094 0.187 0.431 1
O2 O 0.256 0.674 0.434 1
O3 O 0.362 0.078 0.245 1
```

Results
Its magnetic moment is 4.0 Bohr magnetons per cell. As for the raw total energy: -6.721 eV per atom. The value obtained for the calculated formation energy is -2271 meV per atom. The calculation puts the energy above the most stable polymorph in this dataset at 0.254 eV/f.u.

(4)
A geometry-optimized Tl3V5O14 structure, computed with GGA+U.

The structure in CIF format:
```
data_Tl3V5O14
_cell_length_a 8.8515
_cell_length_b 8.8515
_cell_length_c 5.3284
_cell_angle_alpha 90.00
_cell_angle_beta 90.00
_cell_angle_gamma 120.00
_space_group_name_H-M_alt 'P 3 1 m'
_space_group_IT_number 157
loop_
_space_group_symop_operation_xyz
'x,y,z'
'-y,x-y,z'
'-x+y,-x,z'
'y,x,z'
'x-y,-y,z'
'-x,-x+y,z'
loop_
_atom_site_label
_atom_site_type_symbol
_atom_site_fract_x
_atom_site_fract_y
_atom_site_fract_z
_atom_site_occupancy
Tl1 Tl 0.0000 0.6089 0.0000 1
V1 V 0.0000 0.2278 0.5235 1
V2 V 0.3333 0.6667 0.5310 1
O1 O 0.0000 0.2463 0.2184 1
O2 O 0.0000 0.8321 0.5917 1
O3 O 0.1691 0.4609 0.6449 1
O4 O 0.3333 0.6667 0.2185 1
```

Results
As for the raw total energy: -6.842 eV per atom. The value obtained for the calculated formation energy is -2130 meV per atom.

(5)
A geometry-optimized Tl4V2O7 structure, computed with GGA+U.

The structure in CIF format:
```
data_Tl4V2O7
_cell_length_a 6.0941
_cell_length_b 6.0941
_cell_length_c 7.9361
_cell_angle_alpha 90.00
_cell_angle_beta 90.00
_cell_angle_gamma 120.00
_space_group_name_H-M_alt 'P -3 m 1'
_space_group_IT_number 164
_space_group_name_Hall '-P 3 2"'
loop_
_atom_site_label
_atom_site_type_symbol
_atom_site_fract_x
_atom_site_fract_y
_atom_site_fract_z
_atom_site_occupancy
Tl1 Tl 0.3333 0.6667 0.0753 1
Tl2 Tl 0.3333 0.6667 0.5916 1
V1 V 0.0000 0.0000 0.2693 1
O1 O 0.0000 0.0000 0.5000 1
O2 O 0.1551 0.3101 0.7998 1
```

Results
As for the raw total energy: -5.983 eV per atom. The value obtained for the calculated formation energy is -1826 meV per atom.

(6)
A geometry-optimized TlV3O8 structure, computed with GGA+U.

The structure in CIF format:
```
data_TlV3O8
_cell_length_a 5.101
_cell_length_b 8.560
_cell_length_c 7.933
_cell_angle_alpha 90.00
_cell_angle_beta 97.27
_cell_angle_gamma 90.00
_space_group_name_H-M_alt 'P 1 21/m 1'
_space_group_IT_number 11
loop_
_space_group_symop_operation_xyz
'x,y,z'
'-x,-y,-z'
'-x,y+1/2,-z'
'x,-y+1/2,z'
loop_
_atom_site_label
_atom_site_type_symbol
_atom_site_fract_x
_atom_site_fract_y
_atom_site_fract_z
_atom_site_occupancy
Tl1 Tl 0.043 0.250 0.440 1
V1 V 0.073 0.250 0.922 1
V2 V 0.440 0.554 0.183 1
O1 O 0.114 0.600 0.230 1
O2 O 0.117 0.750 0.927 1
O3 O 0.318 0.087 0.994 1
O4 O 0.416 0.250 0.744 1
O5 O 0.432 0.565 0.668 1
```

Results
As for the raw total energy: -7.076 eV per atom. The value obtained for the calculated formation energy is -2192 meV per atom.

(7)
A geometry-optimized Tl3VO4 structure, computed with GGA+U.

The structure in CIF format:
```
data_Tl3VO4
_cell_length_a 6.020
_cell_length_b 8.483
_cell_length_c 6.629
_cell_angle_alpha 90.00
_cell_angle_beta 90.00
_cell_angle_gamma 90.00
_space_group_name_H-M_alt 'I m m 2'
_space_group_IT_number 44
loop_
_space_group_symop_operation_xyz
'x,y,z'
'-x,-y,z'
'-x,y,z'
'x,-y,z'
'x+1/2,y+1/2,z+1/2'
'-x+1/2,-y+1/2,z+1/2'
'-x+1/2,y+1/2,z+1/2'
'x+1/2,-y+1/2,z+1/2'
loop_
_atom_site_label
_atom_site_type_symbol
_atom_site_fract_x
_atom_site_fract_y
_atom_site_fract_z
_atom_site_occupancy
Tl1 Tl 0.000 0.000 0.000 1
Tl2 Tl 0.000 0.231 0.537 1
V1 V 0.000 0.500 0.046 1
O1 O 0.000 0.330 0.899 1
O2 O 0.244 0.500 0.194 1
```

Results
The calculation puts the piezoelectric modulus e_max at 1.2 C/m2. As for the raw total energy: -5.614 eV per atom. The value obtained for the calculated formation energy is -1674 meV per atom.

(8)
A geometry-optimized Tl2V3O8 structure, computed with GGA+U.

The structure in CIF format:
```
data_Tl2V3O8
_cell_length_a 9.111
_cell_length_b 9.111
_cell_length_c 5.532
_cell_angle_alpha 90.00
_cell_angle_beta 90.00
_cell_angle_gamma 90.00
_space_group_name_H-M_alt 'P 4 b m'
_space_group_IT_number 100
loop_
_space_group_symop_operation_xyz
'x,y,z'
'-y,x,z'
'-x,-y,z'
'y,-x,z'
'-x+1/2,y+1/2,z'
'y+1/2,x+1/2,z'
'x+1/2,-y+1/2,z'
'-y+1/2,-x+1/2,z'
loop_
_atom_site_label
_atom_site_type_symbol
_atom_site_fract_x
_atom_site_fract_y
_atom_site_fract_z
_atom_site_occupancy
Tl1 Tl 0.170 0.330 0.000 1
V1 V 0.000 0.000 0.536 1
V2 V 0.134 0.634 0.529 1
O1 O 0.000 0.000 0.240 1
O2 O 0.000 0.500 0.646 1
O3 O 0.086 0.807 0.638 1
O4 O 0.130 0.630 0.228 1
```

Results
As for the raw total energy: -6.829 eV per atom. The value obtained for the calculated formation energy is -2139 meV per atom.